An optimized crystal structure of TaCr3Cu2S8, computed with PBE.

## Properties
Its total magnetization is 18.0 Bohr magnetons per cell. Its excess energy over the best structure of this formula in the dataset is 272 kJ/mol of formula units. As for the formation energy: -0.80 eV/atom.

a b c (Å): 3.449 11.063 12.553
angles (deg): 90.00 90.00 90.00
Atoms (fractional coordinates):
Ta  0.000  0.213  0.000
Ta  0.500  0.787  0.500
Cr  0.000  0.156  0.530
Cr  0.000  0.650  0.204
Cr  0.000  0.706  0.745
Cr  0.500  0.294  0.245
Cr  0.500  0.350  0.704
Cr  0.500  0.844  0.030
Cu  0.000  0.543  0.917
Cu  0.000  0.993  0.743
Cu  0.500  0.007  0.243
Cu  0.500  0.457  0.417
S  0.000  0.152  0.191
S  0.000  0.315  0.833
S  0.000  0.365  0.571
S  0.000  0.441  0.287
S  0.000  0.644  0.563
S  0.000  0.824  0.905
S  0.000  0.864  0.170
S  0.000  0.939  0.465
S  0.500  0.061  0.965
S  0.500  0.136  0.670
S  0.500  0.176  0.405
S  0.500  0.356  0.063
S  0.500  0.559  0.787
S  0.500  0.635  0.071
S  0.500  0.685  0.333
S  0.500  0.848  0.691

***

An optimized crystal structure of TaCr3Cu2S8, computed with PBE.

## Properties
Its total magnetization is 36.0 Bohr magnetons per cell. Its excess energy over the best structure of this formula in the dataset is 311 kJ/mol of formula units. As for the formation energy: -0.77 eV/atom.

a b c (Å): 7.087 11.831 11.520
angles (deg): 90.00 94.97 90.00
Atoms (fractional coordinates):
Ta  0.160  0.000  0.118
Ta  0.319  0.351  0.589
Ta  0.681  0.851  0.411
Ta  0.840  0.500  0.882
Cr  0.056  0.629  0.663
Cr  0.090  0.497  0.379
Cr  0.153  0.131  0.850
Cr  0.340  0.638  0.153
Cr  0.419  0.867  0.876
Cr  0.428  0.137  0.355
Cr  0.572  0.637  0.645
Cr  0.581  0.367  0.124
Cr  0.660  0.138  0.847
Cr  0.847  0.631  0.150
Cr  0.910  0.997  0.621
Cr  0.944  0.129  0.337
Cu  0.058  0.358  0.064
Cu  0.116  0.854  0.381
Cu  0.340  0.006  0.645
Cu  0.389  0.500  0.870
Cu  0.611  0.000  0.130
Cu  0.660  0.506  0.355
Cu  0.884  0.354  0.619
Cu  0.942  0.858  0.936
S  0.056  0.304  0.459
S  0.077  0.562  0.027
S  0.090  0.448  0.761
S  0.111  0.680  0.286
S  0.122  0.944  0.775
S  0.174  0.036  0.470
S  0.178  0.188  0.211
S  0.226  0.812  0.035
S  0.290  0.555  0.540
S  0.332  0.332  0.983
S  0.345  0.687  0.782
S  0.376  0.466  0.259
S  0.380  0.199  0.725
S  0.409  0.054  0.967
S  0.411  0.951  0.274
S  0.459  0.804  0.531
S  0.541  0.304  0.469
S  0.589  0.451  0.726
S  0.591  0.554  0.033
S  0.620  0.699  0.275
S  0.624  0.966  0.741
S  0.655  0.187  0.218
S  0.668  0.832  0.017
S  0.710  0.055  0.460
S  0.774  0.312  0.965
S  0.822  0.688  0.789
S  0.826  0.536  0.530
S  0.878  0.444  0.225
S  0.889  0.180  0.714
S  0.910  0.948  0.239
S  0.923  0.062  0.973
S  0.944  0.804  0.541

***

An optimized crystal structure of TaCr3Cu2S8, computed with PBE.

## Properties
Its total magnetization is 17.3 Bohr magnetons per cell. Its excess energy over the best structure of this formula in the dataset is 8 kJ/mol of formula units. As for the formation energy: -0.99 eV/atom.

a b c (Å): 7.112 9.973 6.960
angles (deg): 90.00 90.00 90.00
Atoms (fractional coordinates):
Ta  0.014  0.000  0.000
Ta  0.986  0.000  0.500
Cr  0.250  0.250  0.247
Cr  0.250  0.750  0.753
Cr  0.498  0.500  0.500
Cr  0.502  0.500  0.000
Cr  0.750  0.250  0.253
Cr  0.750  0.750  0.747
Cu  0.000  0.389  0.750
Cu  0.000  0.611  0.250
Cu  0.500  0.139  0.750
Cu  0.500  0.861  0.250
S  0.003  0.246  0.489
S  0.003  0.754  0.511
S  0.248  0.004  0.254
S  0.248  0.996  0.746
S  0.268  0.488  0.248
S  0.268  0.512  0.752
S  0.497  0.261  0.479
S  0.497  0.739  0.521
S  0.503  0.261  0.021
S  0.503  0.739  0.979
S  0.732  0.488  0.252
S  0.732  0.512  0.748
S  0.752  0.004  0.246
S  0.752  0.996  0.754
S  0.997  0.246  0.011
S  0.997  0.754  0.989

***

An optimized crystal structure of TaCr3Cu2S8, computed with PBE.

## Properties
Its total magnetization is 36.0 Bohr magnetons per cell. Its excess energy over the best structure of this formula in the dataset is 337 kJ/mol of formula units. As for the formation energy: -0.75 eV/atom.

a b c (Å): 11.965 7.027 11.411
angles (deg): 90.00 90.38 90.00
Atoms (fractional coordinates):
Ta  0.000  0.090  0.000
Ta  0.000  0.910  0.500
Ta  0.366  0.388  0.477
Ta  0.366  0.612  0.977
Cr  0.222  0.149  0.244
Cr  0.222  0.851  0.744
Cr  0.253  0.374  0.771
Cr  0.253  0.626  0.271
Cr  0.495  0.106  0.711
Cr  0.495  0.894  0.211
Cr  0.715  0.135  0.443
Cr  0.715  0.865  0.943
Cr  0.739  0.380  0.927
Cr  0.739  0.620  0.427
Cr  0.863  0.365  0.210
Cr  0.863  0.635  0.710
Cu  0.359  0.134  0.966
Cu  0.359  0.866  0.466
Cu  0.549  0.395  0.145
Cu  0.549  0.605  0.645
Cu  0.851  0.122  0.706
Cu  0.851  0.878  0.206
Cu  0.998  0.383  0.478
Cu  0.998  0.617  0.978
S  0.035  0.159  0.620
S  0.035  0.841  0.120
S  0.053  0.330  0.133
S  0.053  0.670  0.633
S  0.167  0.112  0.880
S  0.167  0.888  0.380
S  0.178  0.381  0.389
S  0.178  0.619  0.889
S  0.306  0.141  0.636
S  0.306  0.859  0.136
S  0.317  0.396  0.134
S  0.317  0.604  0.634
S  0.399  0.122  0.341
S  0.399  0.878  0.841
S  0.433  0.374  0.849
S  0.433  0.626  0.349
S  0.530  0.110  0.069
S  0.530  0.890  0.569
S  0.553  0.317  0.562
S  0.553  0.683  0.062
S  0.672  0.120  0.807
S  0.672  0.880  0.307
S  0.681  0.375  0.300
S  0.681  0.625  0.800
S  0.802  0.140  0.062
S  0.802  0.860  0.562
S  0.818  0.401  0.564
S  0.818  0.599  0.064
S  0.894  0.110  0.351
S  0.894  0.890  0.851
S  0.917  0.391  0.845
S  0.917  0.609  0.345

***

An optimized crystal structure of TaCr3Cu2S8, computed with PBE.

## Properties
Its total magnetization is 14.0 Bohr magnetons per cell. Its excess energy over the best structure of this formula in the dataset is 485 kJ/mol of formula units. As for the formation energy: -0.64 eV/atom.

a b c (Å): 7.191 6.478 12.280
angles (deg): 90.00 90.00 90.00
Atoms (fractional coordinates):
Ta  0.000  0.149  0.000
Ta  0.500  0.851  0.500
Cr  0.000  0.311  0.307
Cr  0.000  0.659  0.384
Cr  0.000  0.773  0.165
Cr  0.500  0.227  0.665
Cr  0.500  0.341  0.884
Cr  0.500  0.689  0.807
Cu  0.000  0.052  0.520
Cu  0.000  0.600  0.838
Cu  0.500  0.400  0.338
Cu  0.500  0.948  0.020
S  0.000  0.398  0.491
S  0.000  0.511  0.017
S  0.000  0.962  0.843
S  0.000  0.978  0.334
S  0.222  0.557  0.266
S  0.235  0.030  0.111
S  0.265  0.970  0.611
S  0.278  0.443  0.766
S  0.500  0.022  0.834
S  0.500  0.038  0.343
S  0.500  0.489  0.517
S  0.500  0.602  0.991
S  0.722  0.443  0.766
S  0.735  0.970  0.611
S  0.765  0.030  0.111
S  0.778  0.557  0.266

***

An optimized crystal structure of TaCr3Cu2S8, computed with PBE.

## Properties
Its total magnetization is 18.0 Bohr magnetons per cell. Its excess energy over the best structure of this formula in the dataset is 0 kJ/mol of formula units. As for the formation energy: -1.00 eV/atom.

a b c (Å): 6.985 7.145 9.957
angles (deg): 90.00 90.00 90.00
Atoms (fractional coordinates):
Ta  0.000  0.234  0.250
Ta  0.000  0.766  0.750
Cr  0.245  0.000  0.000
Cr  0.245  0.500  0.000
Cr  0.500  0.248  0.250
Cr  0.500  0.752  0.750
Cr  0.755  0.000  0.500
Cr  0.755  0.500  0.500
Cu  0.266  0.260  0.624
Cu  0.266  0.740  0.376
Cu  0.734  0.260  0.876
Cu  0.734  0.740  0.124
S  0.007  0.250  0.004
S  0.007  0.750  0.996
S  0.251  0.483  0.243
S  0.251  0.517  0.757
S  0.258  0.003  0.243
S  0.258  0.997  0.757
S  0.473  0.249  0.010
S  0.473  0.751  0.990
S  0.527  0.249  0.490
S  0.527  0.751  0.510
S  0.742  0.003  0.257
S  0.742  0.997  0.743
S  0.749  0.483  0.257
S  0.749  0.517  0.743
S  0.993  0.250  0.496
S  0.993  0.750  0.504

***

An optimized crystal structure of TaCr3Cu2S8, computed with PBE.

## Properties
Its total magnetization is 17.1 Bohr magnetons per cell. Its excess energy over the best structure of this formula in the dataset is 280 kJ/mol of formula units. As for the formation energy: -0.79 eV/atom.

a b c (Å): 3.417 11.075 12.561
angles (deg): 90.00 90.00 90.00
Atoms (fractional coordinates):
Ta  0.000  0.163  0.000
Ta  0.500  0.837  0.500
Cr  0.000  0.196  0.540
Cr  0.000  0.666  0.333
Cr  0.000  0.686  0.806
Cr  0.500  0.314  0.306
Cr  0.500  0.334  0.833
Cr  0.500  0.804  0.040
Cu  0.000  0.460  0.596
Cu  0.000  0.956  0.769
Cu  0.500  0.044  0.269
Cu  0.500  0.540  0.096
S  0.000  0.164  0.355
S  0.000  0.300  0.710
S  0.000  0.375  0.966
S  0.000  0.453  0.259
S  0.000  0.656  0.992
S  0.000  0.804  0.637
S  0.000  0.881  0.362
S  0.000  0.947  0.079
S  0.500  0.053  0.579
S  0.500  0.119  0.862
S  0.500  0.196  0.137
S  0.500  0.344  0.492
S  0.500  0.547  0.759
S  0.500  0.625  0.466
S  0.500  0.700  0.210
S  0.500  0.836  0.855

***

An optimized crystal structure of TaCr3Cu2S8, computed with PBE.

## Properties
Its total magnetization is 18.0 Bohr magnetons per cell. Its excess energy over the best structure of this formula in the dataset is 96 kJ/mol of formula units. As for the formation energy: -0.93 eV/atom.

a b c (Å): 7.080 5.726 12.074
angles (deg): 90.00 90.00 90.00
Atoms (fractional coordinates):
Ta  0.000  0.231  0.000
Ta  0.000  0.769  0.500
Cr  0.253  0.253  0.250
Cr  0.253  0.747  0.750
Cr  0.500  0.268  0.505
Cr  0.500  0.732  0.005
Cr  0.747  0.253  0.250
Cr  0.747  0.747  0.750
Cu  0.000  0.140  0.658
Cu  0.000  0.860  0.158
Cu  0.500  0.345  0.840
Cu  0.500  0.655  0.340
S  0.000  0.011  0.337
S  0.000  0.471  0.170
S  0.000  0.529  0.670
S  0.000  0.989  0.837
S  0.243  0.483  0.420
S  0.243  0.517  0.920
S  0.262  0.013  0.082
S  0.262  0.987  0.582
S  0.500  0.046  0.337
S  0.500  0.490  0.170
S  0.500  0.510  0.670
S  0.500  0.954  0.837
S  0.738  0.013  0.082
S  0.738  0.987  0.582
S  0.757  0.483  0.420
S  0.757  0.517  0.920

***

An optimized crystal structure of TaCr3Cu2S8, computed with PBE.

## Properties
Its total magnetization is 0.0 Bohr magnetons per cell. Its excess energy over the best structure of this formula in the dataset is 93 kJ/mol of formula units. As for the formation energy: -0.93 eV/atom.

a b c (Å): 6.026 6.969 12.813
angles (deg): 92.22 101.84 90.09
Atoms (fractional coordinates):
Ta  0.000  0.000  0.000
Ta  0.025  0.246  0.503
Cr  0.003  0.763  0.491
Cr  0.011  0.520  0.002
Cr  0.507  0.508  0.501
Cr  0.508  0.012  0.500
Cr  0.509  0.262  0.003
Cr  0.514  0.773  0.000
Cu  0.084  0.770  0.709
Cu  0.238  0.679  0.226
Cu  0.773  0.321  0.784
Cu  0.911  0.258  0.286
S  0.125  0.262  0.894
S  0.137  0.754  0.887
S  0.219  0.525  0.608
S  0.232  0.012  0.617
S  0.299  0.251  0.387
S  0.300  0.752  0.397
S  0.391  0.021  0.109
S  0.395  0.531  0.103
S  0.623  0.011  0.887
S  0.631  0.505  0.900
S  0.719  0.267  0.610
S  0.720  0.769  0.601
S  0.782  0.003  0.384
S  0.790  0.504  0.392
S  0.888  0.277  0.111
S  0.893  0.773  0.118

***

An optimized crystal structure of VCrCuS4, computed with PBE.

## Properties
Its total magnetization is 8.0 Bohr magnetons per cell. As for the formation energy: -0.99 eV/atom.

a b c (Å): 6.989 6.989 6.989
angles (deg): 121.28 119.14 89.64
Atoms (fractional coordinates):
V  0.500  0.000  0.000
V  0.500  0.500  0.500
Cr  0.000  0.000  0.000
Cr  0.500  0.000  0.500
Cu  0.123  0.373  0.750
Cu  0.877  0.627  0.250
S  0.255  0.242  0.012
S  0.259  0.244  0.484
S  0.259  0.775  0.016
S  0.270  0.758  0.512
S  0.730  0.242  0.488
S  0.741  0.225  0.984
S  0.741  0.756  0.516
S  0.745  0.758  0.988

***

An optimized crystal structure of CrCuSe2, computed with PBE.

## Properties
Its total magnetization is 9.0 Bohr magnetons per cell. Its excess energy over the best structure of this formula in the dataset is 75 kJ/mol of formula units. As for the formation energy: -0.41 eV/atom.

a b c (Å): 3.637 3.637 20.382
angles (deg): 90.00 90.00 120.00
Atoms (fractional coordinates):
Cr  0.000  0.000  0.000
Cr  0.333  0.667  0.667
Cr  0.667  0.333  0.333
Cu  0.000  0.000  0.482
Cu  0.333  0.667  0.148
Cu  0.667  0.333  0.815
Se  0.000  0.000  0.597
Se  0.000  0.000  0.751
Se  0.333  0.667  0.263
Se  0.333  0.667  0.417
Se  0.667  0.333  0.084
Se  0.667  0.333  0.930

***

An optimized crystal structure of CrCuSe2, computed with PBE.

## Properties
Its total magnetization is 9.0 Bohr magnetons per cell. Its excess energy over the best structure of this formula in the dataset is 0 kJ/mol of formula units. As for the formation energy: -0.60 eV/atom. The value obtained for the largest piezoelectric modulus is 0.20 C/m².

a b c (Å): 3.748 3.748 19.106
angles (deg): 90.00 90.00 120.00
Atoms (fractional coordinates):
Cr  0.000  0.000  0.000
Cr  0.333  0.667  0.667
Cr  0.667  0.333  0.333
Cu  0.000  0.000  0.857
Cu  0.333  0.667  0.523
Cu  0.667  0.333  0.190
Se  0.000  0.000  0.255
Se  0.000  0.000  0.734
Se  0.333  0.667  0.401
Se  0.333  0.667  0.922
Se  0.667  0.333  0.067
Se  0.667  0.333  0.588